Record 1
Density functional theory data (PBE-GGA) for a relaxed Ba2SrB18 crystal.

The structure in POSCAR format:
```
Ba2SrB18
1.0
4.2535 0.0000 0.0000
0.0000 4.2535 0.0000
0.0000 0.0000 12.7596
Ba Sr B
2 1 18
direct
0.0000 0.0000 0.1671 Ba
0.0000 0.0000 0.8329 Ba
0.0000 0.0000 0.5000 Sr
0.2041 0.5000 0.3347 B
0.2041 0.5000 0.6653 B
0.2046 0.5000 0.0000 B
0.5000 0.2041 0.3347 B
0.5000 0.2041 0.6653 B
0.5000 0.2046 0.0000 B
0.5000 0.5000 0.0986 B
0.5000 0.5000 0.2358 B
0.5000 0.5000 0.4328 B
0.5000 0.5000 0.5672 B
0.5000 0.5000 0.7642 B
0.5000 0.5000 0.9014 B
0.5000 0.7954 0.0000 B
0.5000 0.7959 0.3347 B
0.5000 0.7959 0.6653 B
0.7954 0.5000 0.0000 B
0.7959 0.5000 0.3347 B
0.7959 0.5000 0.6653 B
```

Properties
* total magnetic moment: 0.000 μB/cell
* space-group type: P4/mmm
* calculated density: 4.01 g/cm3
* calculated total energy: -6.410 eV per atom


Record 2
Density functional theory data (PBE-GGA) for a relaxed Be4B crystal.

The structure in POSCAR format:
```
Be4B
1.0
3.3466 0.0000 0.0000
0.0000 3.3466 0.0000
0.0000 0.0000 7.0115
Be B
8 2
direct
0.2500 0.2500 0.0191 Be
0.2500 0.7500 0.1955 Be
0.2500 0.7500 0.5000 Be
0.2500 0.7500 0.8045 Be
0.7500 0.2500 0.1955 Be
0.7500 0.2500 0.5000 Be
0.7500 0.2500 0.8045 Be
0.7500 0.7500 0.9809 Be
0.2500 0.2500 0.3311 B
0.7500 0.7500 0.6689 B
```

Properties
* space-group type: P4/nmm
* calculated density: 1.98 g/cm3
* calculated total energy: -4.344 eV per atom


Record 3
Density functional theory data (PBE-GGA) for a relaxed BeB2 crystal.

The structure in POSCAR format:
```
BeB2
1.0
2.9297 0.0000 0.0000
-1.4648 2.5372 0.0000
0.0000 0.0000 2.8773
Be B
1 2
direct
0.0000 0.0000 0.0000 Be
0.3333 0.6667 0.5000 B
0.6667 0.3333 0.5000 B
```

Properties
* total magnetic moment: 0.000 μB/cell
* space-group type: P6/mmm
* calculated density: 2.38 g/cm3
* calculated total energy: -5.579 eV per atom


Record 4
Density functional theory data (PBE-GGA) for a relaxed Be2B crystal.

The structure in POSCAR format:
```
Be2B
1.0
0.0000 2.2848 2.2848
2.2848 0.0000 2.2848
2.2848 2.2848 0.0000
Be B
2 1
direct
0.2500 0.2500 0.2500 Be
0.7500 0.7500 0.7500 Be
0.0000 0.0000 0.0000 B
```

Properties
* space-group type: Fm-3m
* calculated density: 2.01 g/cm3
* calculated total energy: -4.679 eV per atom


Record 5
Density functional theory data (PBE-GGA) for a relaxed NaCaBe2B2O6F crystal.

The structure in POSCAR format:
```
NaCaBe2B2O6F
1.0
2.3347 -4.0549 0.0000
2.3347 4.0549 0.0000
-0.0136 0.0000 14.3847
Na Ca Be B O F
2 2 4 4 12 2
direct
0.0017 0.9983 0.5000 Na
0.9983 0.0017 0.0000 Na
0.0033 0.0187 0.7477 Ca
0.0187 0.0033 0.2477 Ca
0.3308 0.6914 0.3844 Be
0.3656 0.6875 0.6099 Be
0.6875 0.3656 0.1099 Be
0.6914 0.3308 0.8844 Be
0.3392 0.6963 0.1360 B
0.3432 0.6492 0.8576 B
0.6492 0.3432 0.3576 B
0.6963 0.3392 0.6360 B
0.0055 0.3714 0.6236 O
0.0302 0.4308 0.1563 O
0.0340 0.6015 0.8343 O
0.3714 0.0055 0.1236 O
0.3714 0.3777 0.3637 O
0.3777 0.3714 0.8637 O
0.4308 0.0302 0.6563 O
0.6015 0.0340 0.3343 O
0.6137 0.6597 0.1326 O
0.6170 0.9578 0.8700 O
0.6597 0.6137 0.6326 O
0.9578 0.6170 0.3700 O
0.4097 0.7844 0.4966 F
0.7844 0.4097 0.9966 F
```

Properties
* total magnetic moment: 0.001 μB/cell
* space-group type: Cc
* calculated density: 2.65 g/cm3
* calculated total energy: -7.028 eV per atom


Record 6
Density functional theory data (PBE-GGA) for a relaxed CaBeB2O5 crystal.

The structure in POSCAR format:
```
CaBeB2O5
1.0
5.2227 0.0000 0.0000
0.0000 3.7939 0.0000
-2.9220 0.0000 17.1125
Ca Be B O
4 4 8 20
direct
0.2258 0.1179 0.4257 Ca
0.2258 0.3821 0.9257 Ca
0.7742 0.6179 0.0743 Ca
0.7742 0.8821 0.5743 Ca
0.1056 0.2346 0.2111 Be
0.1056 0.2654 0.7111 Be
0.8944 0.7346 0.2889 Be
0.8944 0.7654 0.7889 Be
0.2954 0.5274 0.5955 B
0.2954 0.9726 0.0955 B
0.4034 0.7483 0.7871 B
0.4034 0.7517 0.2871 B
0.5966 0.2483 0.7129 B
0.5966 0.2517 0.2129 B
0.7046 0.0274 0.9045 B
0.7046 0.4726 0.4045 B
0.0749 0.0738 0.1237 O
0.0749 0.4262 0.6237 O
0.1596 0.5529 0.7822 O
0.1596 0.9471 0.2822 O
0.2906 0.7409 0.5323 O
0.2906 0.7591 0.0323 O
0.3722 0.0217 0.7242 O
0.3722 0.4783 0.2242 O
0.4590 0.5957 0.3671 O
0.4590 0.9043 0.8671 O
0.5410 0.0957 0.1329 O
0.5410 0.4043 0.6329 O
0.6278 0.5217 0.7758 O
0.6278 0.9783 0.2758 O
0.7094 0.2409 0.9677 O
0.7094 0.2591 0.4677 O
0.8404 0.0529 0.7178 O
0.8404 0.4471 0.2178 O
0.9251 0.5738 0.3763 O
0.9251 0.9262 0.8763 O
```

Properties
* total magnetic moment: 0.000 μB/cell
* space-group type: P2_1/c
* calculated density: 2.95 g/cm3
* calculated total energy: -7.608 eV per atom


Record 7
Density functional theory data (PBE-GGA) for a relaxed CsNa2Be6B5O15 crystal.

The structure in POSCAR format:
```
CsNa2Be6B5O15
1.0
6.9987 -2.2251 0.0000
6.9987 2.2251 0.0000
-2.4443 0.0000 10.5940
Cs Na Be B O
1 2 6 5 15
direct
0.0000 0.0000 0.0000 Cs
0.3370 0.2872 0.4564 Na
0.7128 0.6630 0.5436 Na
0.1412 0.1381 0.7031 Be
0.2452 0.2703 0.9225 Be
0.4909 0.4900 0.3648 Be
0.5100 0.5091 0.6352 Be
0.7297 0.7548 0.0775 Be
0.8619 0.8588 0.2969 Be
0.3318 0.3487 0.1637 B
0.3520 0.3129 0.7247 B
0.6513 0.6682 0.8363 B
0.6871 0.6480 0.2753 B
0.9945 0.0055 0.5000 B
0.1195 0.4550 0.0620 O
0.2372 0.5584 0.2648 O
0.2664 0.2063 0.6448 O
0.3036 0.6964 0.5000 O
0.3444 0.3470 0.8532 O
0.4380 0.3775 0.6642 O
0.4416 0.7628 0.7352 O
0.5450 0.8805 0.9380 O
0.6225 0.5620 0.3358 O
0.6362 0.0361 0.1658 O
0.6530 0.6556 0.1468 O
0.7834 0.1112 0.3980 O
0.7937 0.7336 0.3552 O
0.8888 0.2166 0.6020 O
0.9639 0.3638 0.8342 O
```

Properties
* total magnetic moment: 0.000 μB/cell
* space-group type: C2
* calculated density: 2.65 g/cm3
* calculated total energy: -7.138 eV per atom


Record 8
Density functional theory data (PBE-GGA) for a relaxed CsBe4B3O9 crystal.

The structure in POSCAR format:
```
CsBe4B3O9
1.0
8.4574 0.0000 0.0000
0.0000 13.4713 0.0000
0.0000 0.0000 6.5295
Cs Be B O
4 16 12 36
direct
0.0830 0.2500 0.1596 Cs
0.4170 0.7500 0.6596 Cs
0.5830 0.2500 0.3404 Cs
0.9170 0.7500 0.8404 Cs
0.0623 0.5584 0.4118 Be
0.0623 0.9416 0.4118 Be
0.2258 0.1421 0.6427 Be
0.2258 0.3579 0.6427 Be
0.2742 0.6421 0.1427 Be
0.2742 0.8579 0.1427 Be
0.4377 0.0584 0.9118 Be
0.4377 0.4416 0.9118 Be
0.5623 0.5584 0.0882 Be
0.5623 0.9416 0.0882 Be
0.7258 0.1421 0.8573 Be
0.7258 0.3579 0.8573 Be
0.7742 0.6421 0.3573 Be
0.7742 0.8579 0.3573 Be
0.9377 0.0584 0.5882 Be
0.9377 0.4416 0.5882 Be
0.0467 0.7500 0.3143 B
0.1740 0.5313 0.8080 B
0.1740 0.9687 0.8080 B
0.3260 0.0313 0.3080 B
0.3260 0.4687 0.3080 B
0.4533 0.2500 0.8143 B
0.5467 0.7500 0.1857 B
0.6740 0.5313 0.6920 B
0.6740 0.9687 0.6920 B
0.8260 0.0313 0.1920 B
0.8260 0.4687 0.1920 B
0.9533 0.2500 0.6857 B
0.0289 0.1620 0.6416 O
0.0289 0.3380 0.6416 O
0.0542 0.5336 0.6593 O
0.0542 0.9664 0.6593 O
0.1956 0.7500 0.2266 O
0.2023 0.6111 0.9271 O
0.2023 0.8889 0.9271 O
0.2388 0.5574 0.3198 O
0.2388 0.9426 0.3198 O
0.2612 0.0574 0.8198 O
0.2612 0.4426 0.8198 O
0.2977 0.1111 0.4271 O
0.2977 0.3889 0.4271 O
0.3044 0.2500 0.7266 O
0.4458 0.0336 0.1593 O
0.4458 0.4664 0.1593 O
0.4711 0.6620 0.1416 O
0.4711 0.8380 0.1416 O
0.5289 0.1620 0.8584 O
0.5289 0.3380 0.8584 O
0.5542 0.5336 0.8407 O
0.5542 0.9664 0.8407 O
0.6956 0.7500 0.2734 O
0.7023 0.6111 0.5729 O
0.7023 0.8889 0.5729 O
0.7388 0.5574 0.1802 O
0.7388 0.9426 0.1802 O
0.7612 0.0574 0.6802 O
0.7612 0.4426 0.6802 O
0.7977 0.1111 0.0729 O
0.7977 0.3889 0.0729 O
0.8044 0.2500 0.7734 O
0.9458 0.0336 0.3407 O
0.9458 0.4664 0.3407 O
0.9711 0.6620 0.3584 O
0.9711 0.8380 0.3584 O
```

Properties
* total magnetic moment: 0.001 μB/cell
* space-group type: Pnma
* calculated density: 3.08 g/cm3
* calculated total energy: -7.322 eV per atom


Record 9
Density functional theory data (PBE-GGA) for a relaxed KBe2BO3F2 crystal.

The structure in POSCAR format:
```
KBe2BO3F2
1.0
2.2279 1.2863 6.4837
-2.2279 1.2863 6.4837
0.0000 -2.5725 6.4837
K Be B O F
1 2 1 3 2
direct
0.0000 0.0000 0.0000 K
0.1963 0.1963 0.1963 Be
0.8037 0.8037 0.8037 Be
0.5000 0.5000 0.5000 B
0.1906 0.5000 0.8094 O
0.5000 0.8094 0.1906 O
0.8094 0.1906 0.5000 O
0.2757 0.2757 0.2757 F
0.7243 0.7243 0.7243 F
```

Properties
* total magnetic moment: 0.000 μB/cell
* space-group type: R32
* piezoelectric modulus e_max: 0.1 C/m2
* calculated density: 2.29 g/cm3
* calculated total energy: -6.613 eV per atom


Record 10
Density functional theory data (PBE-GGA) for a relaxed KBe2BO3F2 crystal.

The structure in POSCAR format:
```
KBe2BO3F2
1.0
2.2250 1.2846 13.1178
-2.2250 1.2846 13.1178
0.0000 -2.5693 13.1178
K Be B O F
2 4 2 6 4
direct
0.0000 0.0000 0.0000 K
0.5000 0.5000 0.5000 K
0.0981 0.0981 0.0981 Be
0.4019 0.4019 0.4019 Be
0.5981 0.5981 0.5981 Be
0.9019 0.9019 0.9019 Be
0.2500 0.2500 0.2500 B
0.7500 0.7500 0.7500 B
0.0600 0.7500 0.4400 O
0.2500 0.5600 0.9400 O
0.4400 0.0600 0.7500 O
0.5600 0.9400 0.2500 O
0.7500 0.4400 0.0600 O
0.9400 0.2500 0.5600 O
0.1374 0.1374 0.1374 F
0.3626 0.3626 0.3626 F
0.6374 0.6374 0.6374 F
0.8626 0.8626 0.8626 F
```

Properties
* total magnetic moment: 0.000 μB/cell
* space-group type: R-3c
* calculated density: 2.27 g/cm3
* calculated total energy: -6.613 eV per atom


Record 11
Density functional theory data (PBE-GGA) for a relaxed RbBe2BO3F2 crystal.

The structure in POSCAR format:
```
RbBe2BO3F2
1.0
2.2362 1.2911 6.8214
-2.2362 1.2911 6.8214
0.0000 -2.5821 6.8214
Rb Be B O F
1 2 1 3 2
direct
0.0000 0.0000 0.0000 Rb
0.1944 0.1944 0.1944 Be
0.8056 0.8056 0.8056 Be
0.5000 0.5000 0.5000 B
0.1913 0.8087 0.5000 O
0.5000 0.1913 0.8087 O
0.8087 0.5000 0.1913 O
0.2701 0.2701 0.2701 F
0.7299 0.7299 0.7299 F
```

Properties
* total magnetic moment: 0.001 μB/cell
* space-group type: R32
* piezoelectric modulus e_max: 0.0 C/m2
* calculated density: 2.81 g/cm3
* calculated total energy: -6.598 eV per atom


Record 12
Density functional theory data (PBE-GGA) for a relaxed GdBe2B5O11 crystal.

The structure in POSCAR format:
```
GdBe2B5O11
1.0
25.9487 0.0000 0.0000
0.0000 4.3705 0.0000
0.0000 0.0000 6.7376
Gd Be B O
4 8 20 44
direct
0.0804 0.1390 0.0000 Gd
0.4196 0.6390 0.5000 Gd
0.5804 0.3610 0.0000 Gd
0.9196 0.8610 0.5000 Gd
0.2074 0.3305 0.8604 Be
0.2094 0.8275 0.0833 Be
0.2906 0.3275 0.5833 Be
0.2926 0.8305 0.3604 Be
0.7074 0.1695 0.8604 Be
0.7094 0.6725 0.0833 Be
0.7906 0.1725 0.5833 Be
0.7926 0.6695 0.3604 Be
0.0036 0.4572 0.5904 B
0.0579 0.9680 0.5701 B
0.1302 0.8482 0.3406 B
0.1315 0.6219 0.6703 B
0.2484 0.8162 0.7195 B
0.2516 0.3162 0.2195 B
0.3685 0.1219 0.1703 B
0.3698 0.3482 0.8406 B
0.4421 0.4680 0.0701 B
0.4964 0.9572 0.0904 B
0.5036 0.0428 0.5904 B
0.5579 0.5320 0.5701 B
0.6302 0.6518 0.3406 B
0.6315 0.8781 0.6703 B
0.7484 0.6838 0.7195 B
0.7516 0.1838 0.2195 B
0.8685 0.3781 0.1703 B
0.8698 0.1518 0.8406 B
0.9421 0.0320 0.0701 B
0.9964 0.5429 0.0904 B
0.0111 0.7724 0.5578 O
0.0441 0.2710 0.6509 O
0.0454 0.6360 0.0579 O
0.0839 0.0011 0.3771 O
0.0936 0.8373 0.7177 O
0.1473 0.4179 0.8094 O
0.1512 0.6439 0.4771 O
0.1510 0.9063 0.1587 O
0.2171 0.9654 0.8548 O
0.2207 0.4663 0.0855 O
0.2482 0.5017 0.7182 O
0.2518 0.0017 0.2182 O
0.2793 0.9663 0.5855 O
0.2829 0.4654 0.3548 O
0.3488 0.1439 0.9771 O
0.3490 0.4063 0.6587 O
0.3527 0.9179 0.3094 O
0.4064 0.3373 0.2177 O
0.4161 0.5011 0.8771 O
0.4546 0.1360 0.5579 O
0.4559 0.7710 0.1509 O
0.4889 0.2724 0.0578 O
0.5111 0.7276 0.5578 O
0.5441 0.2290 0.6509 O
0.5454 0.8640 0.0579 O
0.5839 0.4989 0.3771 O
0.5936 0.6627 0.7177 O
0.6473 0.0821 0.8094 O
0.6510 0.5937 0.1587 O
0.6512 0.8561 0.4771 O
0.7171 0.5346 0.8548 O
0.7207 0.0337 0.0855 O
0.7482 0.9983 0.7182 O
0.7518 0.4983 0.2182 O
0.7793 0.5337 0.5855 O
0.7829 0.0346 0.3548 O
0.8490 0.0937 0.6587 O
0.8488 0.3561 0.9771 O
0.8527 0.5821 0.3094 O
0.9064 0.1627 0.2177 O
0.9161 0.9989 0.8771 O
0.9546 0.3640 0.5579 O
0.9559 0.7290 0.1509 O
0.9889 0.2276 0.0578 O
```

Properties
* total magnetic moment: 28.002 μB/cell
* space-group type: Pna2_1
* calculated density: 3.52 g/cm3
* calculated total energy: -8.446 eV per atom


Record 13
Density functional theory data (PBE-GGA) for a relaxed BeGeB crystal.

The structure in POSCAR format:
```
BeGeB
1.0
0.0000 2.5664 2.5664
2.5664 0.0000 2.5664
2.5664 2.5664 0.0000
Be Ge B
1 1 1
direct
0.0000 0.0000 0.0000 Be
0.7500 0.7500 0.7500 Ge
0.2500 0.2500 0.2500 B
```

Properties
* total magnetic moment: 0.000 μB/cell
* space-group type: F-43m
* calculated density: 4.54 g/cm3
* calculated total energy: -4.257 eV per atom